# 1
Entry from the Materials Project database: UGa after structural relaxation (GGA-PBE).

## Properties
Symmetry: P-6m2, No. 187
Formation energy (eV/atom): -0.114
Total energy (eV/atom): -7.2735

POSCAR file:
```
UGa
1.0
-0.828 0.970 2.634
0.293 -2.873 -0.476
5.058 0.270 1.490
U Ga
1 1
Direct
0.333 0.667 0.000
0.667 0.333 0.500
```



# 2
Entry from the Materials Project database: MoPb3 after structural relaxation (GGA-PBE).

## Properties
Symmetry: Pm-3m, No. 221
Formation energy (eV/atom): 0.740
Total moment (μB per formula unit): 3.79
Total energy (eV/atom): -4.7564

POSCAR file:
```
MoPb3
1.0
4.776 0.000 0.000
0.000 4.776 0.000
0.000 0.000 4.776
Pb Mo
3 1
Direct
0.500 0.000 0.500
0.500 0.500 0.000
0.000 0.500 0.500
0.000 0.000 0.000
```



# 3
Entry from the Materials Project database: Mo3WSe4S4 after structural relaxation (GGA-PBE).

## Properties
Symmetry: P3m1, No. 156
Formation energy (eV/atom): -0.911
Total moment (μB per formula unit): 0.00
Total energy (eV/atom): -7.0790

POSCAR file:
```
Mo3WSe4S4
1.0
1.626 -2.817 0.000
1.626 2.817 0.000
0.000 0.000 36.862
W S Mo Se
1 4 3 4
Direct
0.000 0.000 0.470
0.333 0.667 0.136
0.333 0.667 0.052
0.333 0.667 0.428
0.333 0.667 0.512
0.333 0.667 0.658
0.333 0.667 0.282
0.000 0.000 0.094
0.000 0.000 0.328
0.000 0.000 0.704
0.000 0.000 0.611
0.000 0.000 0.236
```



# 4
Entry from the Materials Project database: AcNb3 after structural relaxation (GGA-PBE).

## Properties
Symmetry: Fm-3m, No. 225
Formation energy (eV/atom): 0.585
Total moment (μB per formula unit): 0.06
Total energy (eV/atom): -8.0211

POSCAR file:
```
AcNb3
1.0
4.160 1.035 2.561
0.468 4.390 2.333
-0.124 0.202 4.988
Ac Nb
1 3
Direct
0.000 0.000 0.000
0.250 0.250 0.250
0.750 0.750 0.750
0.500 0.500 0.500
```



# 5
Entry from the Materials Project database: Mg5Zn after structural relaxation (GGA-PBE).

## Properties
Symmetry: R32, No. 155
Formation energy (eV/atom): 0.002
Total energy (eV/atom): -1.5418

POSCAR file:
```
Mg5Zn
1.0
-5.494 2.871 0.075
-3.697 1.372 4.783
-1.563 5.518 2.353
Mg Zn
5 1
Direct
0.000 0.662 0.338
0.338 0.000 0.662
0.662 0.338 0.000
0.833 0.833 0.833
0.167 0.167 0.167
0.500 0.500 0.500
```



# 6
Entry from the Materials Project database: LiAlGeO4 after structural relaxation (GGA-PBE).

## Properties
Symmetry: R-3, No. 148
Formation energy (eV/atom): -2.687
Total moment (μB per formula unit): 0.00
Total energy (eV/atom): -6.5904

POSCAR file:
```
LiAlGeO4
1.0
-3.264 1.046 -7.925
-3.362 -7.232 3.311
-2.672 6.622 4.855
Ge Li O Al
6 6 24 6
Direct
0.133 0.720 0.894
0.867 0.280 0.106
0.894 0.133 0.720
0.106 0.867 0.280
0.280 0.106 0.867
0.720 0.894 0.133
0.929 0.760 0.532
0.468 0.071 0.240
0.532 0.929 0.760
0.760 0.532 0.929
0.071 0.240 0.468
0.240 0.468 0.071
0.599 0.921 0.260
0.621 0.677 0.952
0.379 0.323 0.048
0.280 0.955 0.973
0.952 0.621 0.677
0.340 0.655 0.315
0.740 0.401 0.079
0.045 0.027 0.720
0.048 0.379 0.323
0.921 0.260 0.599
0.027 0.720 0.045
0.973 0.280 0.955
0.660 0.345 0.685
0.315 0.340 0.655
0.685 0.660 0.345
0.655 0.315 0.340
0.260 0.599 0.921
0.323 0.048 0.379
0.079 0.740 0.401
0.345 0.685 0.660
0.720 0.045 0.027
0.677 0.952 0.621
0.955 0.973 0.280
0.401 0.079 0.740
0.211 0.616 0.432
0.789 0.384 0.568
0.384 0.568 0.789
0.568 0.789 0.384
0.432 0.211 0.616
0.616 0.432 0.211
```



Q: Which value of formation energy does entry 2 give?
A: 0.740 eV/atom



Q: What is the formation energy in the sixth record?
A: -2.687 eV/atom



Q: Which of these has the lowest total energy?
A: AcNb3